Computed, not measured: a relaxed LiP2WO8 crystal at the PBE with a Hubbard U level of DFT.

Results
ρ	3.91	g/cm³
volume	161.8	Å³/f.u.
space-group type	No. 14
ΔE_f	-2501	meV/atom

Cell lengths 8.066, 4.984, 16.178 Å; angles 84.27, 90.00, 90.00 degrees
Fractional coordinates of all 48 atoms:
O  0.882  0.465  0.922
O  0.618  0.070  0.312
O  0.920  0.242  0.511
O  0.824  0.934  0.066
O  0.580  0.242  0.011
O  0.776  0.404  0.112
O  0.008  0.361  0.241
O  0.676  0.934  0.566
O  0.080  0.758  0.489
O  0.176  0.066  0.934
O  0.692  0.782  0.736
O  0.508  0.639  0.259
O  0.382  0.535  0.578
O  0.492  0.361  0.741
O  0.618  0.465  0.422
O  0.924  0.027  0.657
O  0.808  0.782  0.236
O  0.192  0.218  0.764
O  0.424  0.973  0.843
O  0.724  0.404  0.612
O  0.382  0.930  0.688
O  0.992  0.639  0.759
O  0.576  0.027  0.157
O  0.224  0.596  0.888
O  0.076  0.973  0.343
O  0.324  0.066  0.434
O  0.308  0.218  0.264
O  0.118  0.930  0.188
O  0.118  0.535  0.078
O  0.882  0.070  0.812
O  0.276  0.596  0.388
O  0.420  0.758  0.989
P  0.806  0.154  0.581
P  0.129  0.124  0.255
P  0.694  0.154  0.081
P  0.871  0.876  0.745
P  0.306  0.846  0.919
P  0.194  0.846  0.419
P  0.629  0.876  0.245
P  0.371  0.124  0.755
W  0.462  0.354  0.357
W  0.038  0.354  0.857
W  0.962  0.646  0.143
W  0.538  0.646  0.643
Li  0.337  0.374  0.027
Li  0.663  0.626  0.973
Li  0.163  0.374  0.527
Li  0.837  0.626  0.473